No. 1
Here is a geometry-optimized TbMgSe3 structure from the Materials Project database. Energies are from PBE.

Cell lengths 7.3513, 7.3513, 6.8842 Å; angles 103.56, 103.56, 118.68 degrees
Positions (direct):
Tb1 0.1960 0.1960 0.3140
Tb2 0.8040 0.8040 0.6860
Mg1 0.3346 0.6654 0.0000
Mg2 0.6654 0.3346 0.0000
Se1 0.1170 0.7742 0.2160
Se2 0.2258 0.8830 0.7840
Se3 0.4672 0.4672 0.7457
Se4 0.5328 0.5328 0.2543
Se5 0.7742 0.1170 0.2160
Se6 0.8830 0.2258 0.7840

The calculated density is 4.8 Mg/m³. As for the energy above the most stable polymorph in this dataset: 0.55 eV per formula unit. Its crystal system is monoclinic. For the corrected total energy (MP2020 scheme), the calculation gives -4.7384 eV/atom. The value obtained for the calculated formation energy is -1.39 eV/atom.



No. 2
Here is a geometry-optimized TbMgSe3 structure from the Materials Project database. Energies are from PBE.

Cell lengths 6.9299, 6.9299, 19.2918 Å; angles 90.00, 90.00, 120.00 degrees
Positions (direct):
Se1 0.0063 0.6398 0.4166
Se2 0.6398 0.6336 0.5834
Se3 0.3602 0.3664 0.4166
Se4 0.0268 0.6998 0.7499
Se5 0.6935 0.0331 0.0832
Se6 0.3396 0.3065 0.0832
Se7 0.9937 0.3602 0.5834
Se8 0.6336 0.9937 0.4166
Se9 0.0331 0.3396 0.9168
Se10 0.6998 0.6729 0.2501
Se11 0.9669 0.6604 0.0832
Se12 0.3664 0.0063 0.5834
Se13 0.6604 0.6935 0.9168
Se14 0.3002 0.3271 0.7499
Se15 0.3065 0.9669 0.9168
Se16 0.9732 0.3002 0.2501
Se17 0.3271 0.0268 0.2501
Se18 0.6729 0.9732 0.7499
Tb1 0.3333 0.6667 0.0143
Tb2 0.3333 0.6667 0.3191
Tb3 0.0000 0.0000 0.3476
Tb4 0.6667 0.3333 0.9857
Tb5 0.0000 0.0000 0.6524
Tb6 0.6667 0.3333 0.6809
Mg1 0.3333 0.6667 0.8278
Mg2 0.3333 0.6667 0.5055
Mg3 0.6667 0.3333 0.4945
Mg4 0.0000 0.0000 0.8389
Mg5 0.0000 0.0000 0.1611
Mg6 0.6667 0.3333 0.1722

The calculated density is 5.2 Mg/m³. As for the energy above the most stable polymorph in this dataset: 0.00 eV per formula unit. For the corrected total energy (MP2020 scheme), the calculation gives -4.8477 eV/atom. The value obtained for the calculated formation energy is -1.50 eV/atom.



No. 3
Here is a geometry-optimized Tb2MgSe4 structure from the Materials Project database. Energies are from PBE.

Cell lengths 13.2866, 7.9376, 13.4876 Å; angles 90.00, 90.00, 90.00 degrees
Positions (direct):
Tb1 0.1078 0.1176 0.0000
Tb2 0.1277 0.6190 0.6405
Tb3 0.1332 0.3716 0.3049
Tb4 0.1333 0.8713 0.3056
Tb5 0.3668 0.3716 0.8049
Tb6 0.3667 0.8713 0.8056
Tb7 0.3723 0.6190 0.1405
Tb8 0.3922 0.1176 0.5000
Tb9 0.6078 0.8824 0.0000
Tb10 0.6277 0.3810 0.6405
Tb11 0.6333 0.1287 0.3056
Tb12 0.6332 0.6284 0.3049
Tb13 0.8667 0.1287 0.8056
Tb14 0.8668 0.6284 0.8049
Tb15 0.8723 0.3810 0.1405
Tb16 0.8922 0.8824 0.5000
Mg1 0.1108 0.6183 0.0049
Mg2 0.1265 0.1219 0.6349
Mg3 0.3735 0.1219 0.1349
Mg4 0.3892 0.6183 0.5049
Mg5 0.6108 0.3817 0.0049
Mg6 0.6265 0.8781 0.6349
Mg7 0.8735 0.8781 0.1349
Mg8 0.8892 0.3817 0.5049
Se1 0.0126 0.1223 0.1923
Se2 0.0216 0.6275 0.1826
Se3 0.0339 0.6225 0.4439
Se4 0.0426 0.1278 0.4508
Se5 0.2113 0.1207 0.8165
Se6 0.2120 0.6204 0.8336
Se7 0.2304 0.3684 0.0926
Se8 0.2317 0.8724 0.0916
Se9 0.2683 0.8724 0.5916
Se10 0.2696 0.3684 0.5926
Se11 0.2880 0.6204 0.3336
Se12 0.2887 0.1207 0.3165
Se13 0.4574 0.1278 0.9508
Se14 0.4661 0.6225 0.9439
Se15 0.4784 0.6275 0.6826
Se16 0.4874 0.1223 0.6923
Se17 0.5126 0.8777 0.1923
Se18 0.5216 0.3725 0.1826
Se19 0.5339 0.3775 0.4439
Se20 0.5426 0.8722 0.4508
Se21 0.7113 0.8793 0.8165
Se22 0.7120 0.3796 0.8336
Se23 0.7304 0.6316 0.0926
Se24 0.7317 0.1276 0.0916
Se25 0.7683 0.1276 0.5916
Se26 0.7696 0.6316 0.5926
Se27 0.7880 0.3796 0.3336
Se28 0.7887 0.8793 0.3165
Se29 0.9574 0.8722 0.9508
Se30 0.9661 0.3775 0.9439
Se31 0.9784 0.3725 0.6826
Se32 0.9874 0.8777 0.6923

The calculated density is 6.1 Mg/m³. As for the energy above the most stable polymorph in this dataset: 0.12 eV per formula unit. Its crystal system is orthorhombic. For the corrected total energy (MP2020 scheme), the calculation gives -5.4924 eV/atom. The value obtained for the calculated formation energy is -1.94 eV/atom.



No. 4
Here is a geometry-optimized Tb2MgSe4 structure from the Materials Project database. Energies are from PBE.

Cell lengths 13.1971, 4.0340, 14.2529 Å; angles 90.00, 90.00, 90.00 degrees
Positions (direct):
Tb1 0.1168 0.2500 0.0726
Tb2 0.1404 0.2500 0.7027
Tb3 0.3596 0.7500 0.2027
Tb4 0.3832 0.7500 0.5726
Tb5 0.6168 0.2500 0.4274
Tb6 0.6404 0.2500 0.7973
Tb7 0.8596 0.7500 0.2973
Tb8 0.8832 0.7500 0.9274
Mg1 0.1094 0.7500 0.4563
Mg2 0.3906 0.2500 0.9563
Mg3 0.6094 0.7500 0.0437
Mg4 0.8906 0.2500 0.5437
Se1 0.0064 0.7500 0.6169
Se2 0.0285 0.2500 0.8818
Se3 0.2229 0.2500 0.2461
Se4 0.2375 0.2500 0.5138
Se5 0.2625 0.7500 0.0138
Se6 0.2771 0.7500 0.7461
Se7 0.4715 0.7500 0.3818
Se8 0.4936 0.2500 0.1169
Se9 0.5064 0.7500 0.8831
Se10 0.5285 0.2500 0.6182
Se11 0.7229 0.2500 0.2539
Se12 0.7375 0.2500 0.9862
Se13 0.7625 0.7500 0.4862
Se14 0.7771 0.7500 0.7539
Se15 0.9715 0.7500 0.1182
Se16 0.9936 0.2500 0.3831

The calculated density is 5.8 Mg/m³. As for the energy above the most stable polymorph in this dataset: 0.38 eV per formula unit. Its crystal system is orthorhombic. For the corrected total energy (MP2020 scheme), the calculation gives -5.4557 eV/atom. The value obtained for the calculated formation energy is -1.91 eV/atom.



No. 5
Here is a geometry-optimized Tb2MgSe4 structure from the Materials Project database. Energies are from PBE.

Cell lengths 8.3026, 8.3026, 8.3026 Å; angles 60.00, 60.00, 60.00 degrees
Positions (direct):
Tb1 0.0000 0.0000 0.0000
Tb2 0.0000 0.0000 0.5000
Tb3 0.0000 0.5000 0.0000
Tb4 0.5000 0.0000 0.0000
Mg1 0.3750 0.3750 0.3750
Mg2 0.6250 0.6250 0.6250
Se1 0.2374 0.7542 0.7542
Se2 0.2458 0.2458 0.2458
Se3 0.2458 0.2458 0.7626
Se4 0.2458 0.7626 0.2458
Se5 0.7542 0.2374 0.7542
Se6 0.7542 0.7542 0.2374
Se7 0.7542 0.7542 0.7542
Se8 0.7626 0.2458 0.2458

The calculated density is 5.4 Mg/m³. As for the energy above the most stable polymorph in this dataset: 0.00 eV per formula unit. Its crystal system is cubic. For the corrected total energy (MP2020 scheme), the calculation gives -5.5099 eV/atom. The value obtained for the calculated formation energy is -1.96 eV/atom.



No. 6
Here is a geometry-optimized Tb2MgSe4 structure from the Materials Project database. Energies are from PBE.

Cell lengths 7.5042, 8.6998, 13.8606 Å; angles 80.79, 84.54, 89.98 degrees
Positions (direct):
Tb1 0.1315 0.4442 0.2003
Tb2 0.1325 0.9560 0.1969
Tb3 0.2588 0.1266 0.4993
Tb4 0.3643 0.3003 0.8012
Tb5 0.6357 0.6997 0.1988
Tb6 0.7412 0.8734 0.5007
Tb7 0.8675 0.0440 0.8031
Tb8 0.8685 0.5558 0.7997
Mg1 0.2511 0.6230 0.5033
Mg2 0.3671 0.8005 0.7974
Mg3 0.6329 0.1995 0.2026
Mg4 0.7489 0.3770 0.4967
Se1 0.0954 0.4073 0.3989
Se2 0.1057 0.8954 0.3964
Se3 0.1944 0.5429 0.8732
Se4 0.1958 0.0201 0.8737
Se5 0.3102 0.7189 0.1223
Se6 0.3298 0.2194 0.1254
Se7 0.3920 0.8434 0.6088
Se8 0.4063 0.3557 0.6023
Se9 0.5937 0.6443 0.3977
Se10 0.6080 0.1566 0.3912
Se11 0.6702 0.7806 0.8746
Se12 0.6898 0.2811 0.8777
Se13 0.8042 0.9799 0.1263
Se14 0.8056 0.4571 0.1268
Se15 0.8943 0.1046 0.6036
Se16 0.9046 0.5927 0.6011

The calculated density is 4.9 Mg/m³. As for the energy above the most stable polymorph in this dataset: 1.30 eV per formula unit. Its crystal system is triclinic. For the corrected total energy (MP2020 scheme), the calculation gives -5.3242 eV/atom. The value obtained for the calculated formation energy is -1.77 eV/atom.



No. 7
Here is a geometry-optimized Tb2MgSe4 structure from the Materials Project database. Energies are from PBE.

Cell lengths 8.1731, 7.7608, 12.1305 Å; angles 90.00, 90.00, 90.00 degrees
Positions (direct):
Tb1 0.0557 0.2500 0.0222
Tb2 0.0584 0.7500 0.3120
Tb3 0.4416 0.2500 0.8120
Tb4 0.4443 0.7500 0.5222
Tb5 0.5557 0.2500 0.4778
Tb6 0.5584 0.7500 0.1880
Tb7 0.9416 0.2500 0.6880
Tb8 0.9443 0.7500 0.9778
Mg1 0.1764 0.2500 0.4045
Mg2 0.3236 0.7500 0.9045
Mg3 0.6764 0.2500 0.0955
Mg4 0.8236 0.7500 0.5955
Se1 0.1148 0.7500 0.5436
Se2 0.1283 0.5022 0.8421
Se3 0.1283 0.9978 0.8421
Se4 0.2316 0.7500 0.1124
Se5 0.2684 0.2500 0.6124
Se6 0.3717 0.0022 0.3421
Se7 0.3717 0.4978 0.3421
Se8 0.3852 0.2500 0.0436
Se9 0.6148 0.7500 0.9564
Se10 0.6283 0.5022 0.6579
Se11 0.6283 0.9978 0.6579
Se12 0.7316 0.7500 0.3876
Se13 0.7684 0.2500 0.8876
Se14 0.8717 0.0022 0.1579
Se15 0.8717 0.4978 0.1579
Se16 0.8852 0.2500 0.4564

The calculated density is 5.7 Mg/m³. As for the energy above the most stable polymorph in this dataset: 1.51 eV per formula unit. Its crystal system is orthorhombic. For the corrected total energy (MP2020 scheme), the calculation gives -5.2936 eV/atom. The value obtained for the calculated formation energy is -1.74 eV/atom.



No. 8
Here is a geometry-optimized Tb2MgSe4 structure from the Materials Project database. Energies are from PBE.

Cell lengths 7.5538, 7.5538, 7.5538 Å; angles 110.58, 110.58, 107.27 degrees
Positions (direct):
Tb1 0.0068 0.6250 0.8818
Tb2 0.3750 0.2568 0.3818
Tb3 0.7432 0.1250 0.1182
Tb4 0.8750 0.9932 0.6182
Mg1 0.2500 0.7500 0.5000
Mg2 0.5000 0.5000 0.0000
Se1 0.0067 0.8781 0.2629
Se2 0.1219 0.3848 0.1287
Se3 0.1348 0.3719 0.6287
Se4 0.2561 0.9933 0.8713
Se5 0.4939 0.8652 0.2371
Se6 0.6152 0.7439 0.7371
Se7 0.6281 0.2567 0.7629
Se8 0.7433 0.5061 0.3713

The calculated density is 6.6 Mg/m³. As for the energy above the most stable polymorph in this dataset: 0.51 eV per formula unit. Its crystal system is tetragonal. For the corrected total energy (MP2020 scheme), the calculation gives -5.4376 eV/atom. The value obtained for the calculated formation energy is -1.89 eV/atom.



No. 9
Here is a geometry-optimized Tb2MgSe4 structure from the Materials Project database. Energies are from PBE.

Cell lengths 14.2382, 8.3026, 6.8625 Å; angles 90.00, 90.00, 90.00 degrees
Positions (direct):
Tb1 0.0000 0.0000 0.0000
Tb2 0.0000 0.5000 0.0000
Tb3 0.2344 0.2500 0.4970
Tb4 0.2656 0.7500 0.9970
Tb5 0.5000 0.0000 0.5000
Tb6 0.5000 0.5000 0.5000
Tb7 0.7344 0.2500 0.0030
Tb8 0.7656 0.7500 0.5030
Mg1 0.0924 0.7500 0.5814
Mg2 0.4076 0.2500 0.0814
Mg3 0.5924 0.7500 0.9186
Mg4 0.9076 0.2500 0.4186
Se1 0.0724 0.2500 0.2503
Se2 0.0919 0.7500 0.2119
Se3 0.1692 0.5068 0.7586
Se4 0.1692 0.9932 0.7586
Se5 0.3308 0.0068 0.2586
Se6 0.3308 0.4932 0.2586
Se7 0.4081 0.2500 0.7119
Se8 0.4276 0.7500 0.7503
Se9 0.5724 0.2500 0.2497
Se10 0.5919 0.7500 0.2881
Se11 0.6692 0.5068 0.7414
Se12 0.6692 0.9932 0.7414
Se13 0.8308 0.0068 0.2414
Se14 0.8308 0.4932 0.2414
Se15 0.9081 0.2500 0.7881
Se16 0.9276 0.7500 0.7497

The calculated density is 5.4 Mg/m³. As for the energy above the most stable polymorph in this dataset: 0.10 eV per formula unit. Its crystal system is orthorhombic. For the corrected total energy (MP2020 scheme), the calculation gives -5.4953 eV/atom. The value obtained for the calculated formation energy is -1.94 eV/atom.



No. 10
Here is a geometry-optimized Mg4Te3Se structure from the Materials Project database. Energies are from PBE.

Cell lengths 4.5252, 4.5252, 12.7042 Å; angles 90.00, 90.00, 90.00 degrees
Positions (direct):
Mg1 0.0000 0.5000 0.1105
Mg2 0.0000 0.5000 0.6287
Mg3 0.5000 0.0000 0.3713
Mg4 0.5000 0.0000 0.8895
Te1 0.0000 0.0000 0.2417
Te2 0.0000 0.0000 0.7583
Te3 0.5000 0.5000 0.5000
Se1 0.5000 0.5000 0.0000

The calculated density is 3.6 Mg/m³. Its crystal system is tetragonal. For the corrected total energy (MP2020 scheme), the calculation gives -3.4305 eV/atom. The value obtained for the calculated formation energy is -1.01 eV/atom.



No. 11
Here is a geometry-optimized Mg2TeSe structure from the Materials Project database. Energies are from PBE.

Cell lengths 4.4248, 4.4248, 21.7023 Å; angles 90.00, 90.00, 120.00 degrees
Positions (direct):
Mg1 0.0000 0.0000 0.0000
Mg2 0.0000 0.0000 0.4887
Mg3 0.3333 0.6667 0.1553
Mg4 0.3333 0.6667 0.6667
Mg5 0.6667 0.3333 0.3333
Mg6 0.6667 0.3333 0.8220
Te1 0.0000 0.0000 0.8708
Te2 0.3333 0.6667 0.5375
Te3 0.6667 0.3333 0.2042
Se1 0.0000 0.0000 0.3688
Se2 0.3333 0.6667 0.0355
Se3 0.6667 0.3333 0.7021

The calculated density is 3.5 Mg/m³. Its crystal system is trigonal. For the corrected total energy (MP2020 scheme), the calculation gives -3.6152 eV/atom. The value obtained for the calculated formation energy is -1.16 eV/atom.



No. 12
Here is a geometry-optimized TmMgSe3 structure from the Materials Project database. Energies are from PBE.

Cell lengths 7.3426, 7.3426, 6.9194 Å; angles 103.53, 103.53, 120.13 degrees
Positions (direct):
Tm1 0.1958 0.1958 0.3176
Tm2 0.8042 0.8042 0.6824
Mg1 0.3359 0.6641 0.0000
Mg2 0.6641 0.3359 0.0000
Se1 0.1225 0.7804 0.2163
Se2 0.2196 0.8775 0.7837
Se3 0.4678 0.4678 0.7453
Se4 0.5322 0.5322 0.2547
Se5 0.7804 0.1225 0.2163
Se6 0.8775 0.2196 0.7837

The calculated density is 5.0 Mg/m³. As for the energy above the most stable polymorph in this dataset: 0.59 eV per formula unit. Its crystal system is monoclinic. For the corrected total energy (MP2020 scheme), the calculation gives -4.7016 eV/atom. The value obtained for the calculated formation energy is -1.39 eV/atom.



No. 13
Here is a geometry-optimized TmMgSe3 structure from the Materials Project database. Energies are from PBE.

Cell lengths 6.8699, 6.8699, 19.1312 Å; angles 90.00, 90.00, 120.00 degrees
Positions (direct):
Se1 0.6848 0.0296 0.0829
Se2 0.6963 0.6781 0.2504
Se3 0.3037 0.3219 0.7496
Se4 0.3515 0.3629 0.4163
Se5 0.6485 0.6371 0.5837
Se6 0.6371 0.9886 0.4163
Se7 0.6552 0.6848 0.9171
Se8 0.3629 0.0114 0.5837
Se9 0.0114 0.6485 0.4163
Se10 0.9704 0.6552 0.0829
Se11 0.9886 0.3515 0.5837
Se12 0.3152 0.9704 0.9171
Se13 0.3219 0.0182 0.2504
Se14 0.0182 0.6963 0.7496
Se15 0.0296 0.3448 0.9171
Se16 0.9818 0.3037 0.2504
Se17 0.3448 0.3152 0.0829
Se18 0.6781 0.9818 0.7496
Tm1 0.6667 0.3333 0.6796
Tm2 0.0000 0.0000 0.3462
Tm3 0.0000 0.0000 0.6538
Tm4 0.6667 0.3333 0.9871
Tm5 0.3333 0.6667 0.0129
Tm6 0.3333 0.6667 0.3204
Mg1 0.3333 0.6667 0.5074
Mg2 0.0000 0.0000 0.8407
Mg3 0.0000 0.0000 0.1593
Mg4 0.6667 0.3333 0.4926
Mg5 0.3333 0.6667 0.8260
Mg6 0.6667 0.3333 0.1740

The calculated density is 5.5 Mg/m³. As for the energy above the most stable polymorph in this dataset: 0.00 eV per formula unit. For the corrected total energy (MP2020 scheme), the calculation gives -4.8205 eV/atom. The value obtained for the calculated formation energy is -1.51 eV/atom.



No. 14
Here is a geometry-optimized Mg5Si6 structure from the Materials Project database. Energies are from PBE.

Cell lengths 14.5786, 14.5786, 7.1086 Å; angles 95.02, 95.02, 15.62 degrees
Positions (direct):
Mg1 0.0000 0.0000 0.0000
Mg2 0.1295 0.1295 0.7602
Mg3 0.2463 0.2463 0.2882
Mg4 0.4158 0.4158 0.1708
Mg5 0.4573 0.4573 0.6894
Mg6 0.5225 0.5225 0.2973
Mg7 0.6663 0.6663 0.4394
Mg8 0.7053 0.7053 0.9550
Mg9 0.7838 0.7838 0.6186
Mg10 0.8241 0.8241 0.1280
Si1 0.0255 0.0255 0.6464
Si2 0.0907 0.0907 0.3467
Si3 0.1514 0.1514 0.1342
Si4 0.2164 0.2164 0.6577
Si5 0.2740 0.2740 0.9201
Si6 0.3410 0.3410 0.4391
Si7 0.3498 0.3498 0.8080
Si8 0.5775 0.5775 0.6092
Si9 0.5959 0.5959 0.0428
Si10 0.8905 0.8905 0.4984
Si11 0.9002 0.9002 0.8655
Si12 0.9653 0.9653 0.3822

The calculated density is 2.4 Mg/m³. As for the energy above the most stable polymorph in this dataset: 0.77 eV per formula unit. Its crystal system is monoclinic. For the corrected total energy (MP2020 scheme), the calculation gives -3.5510 eV/atom. The value obtained for the calculated formation energy is 0.14 eV/atom.



no.,VASP energy (eV per cell)
1,-44.55
2,-136.93
3,-292.47
4,-145.21
5,-73.36
6,-141.53
7,-140.67
8,-72.35
9,-146.32
10,-26.97
11,-41.97
12,-44.18
13,-136.12
14,-78.97